No. 1
A plane-wave DFT calculation with r²SCAN was carried out for a geometry-optimized CeSnAu2 structure.

Unit cell a=5.0526 b=5.0526 c=5.0526 alpha=60.00 beta=60.00 gamma=60.00
Sites, in units of the cell vectors:
1 Ce 0.2500 0.2500 0.2500
2 Au 0.5000 0.5000 0.5000
3 Au 0.0000 0.0000 0.0000
4 Sn 0.7500 0.7500 0.7500

Results
* volume: 91.21 Å³ per cell
* DFT total energy: -39.904 eV/atom
* SG: Fm-3m, No. 225
* total magnetization: 0.26 μB/atom



No. 2
A plane-wave DFT calculation with r²SCAN was carried out for a geometry-optimized CaBiAu4 structure.

Unit cell a=5.6539 b=5.6539 c=5.6539 alpha=60.00 beta=60.00 gamma=60.00
Sites, in units of the cell vectors:
1 Ca 0.2500 0.2500 0.2500
2 Au 0.6246 0.6246 0.6246
3 Au 0.6246 0.6246 0.1262
4 Au 0.1262 0.6246 0.6246
5 Au 0.6246 0.1262 0.6246
6 Bi 0.0000 0.0000 0.0000

Results
* volume: 127.80 Å³ per cell
* DFT total energy: -45.079 eV/atom
* SG: F-43m, No. 216
* total magnetization: 0.00 μB/atom



No. 3
A plane-wave DFT calculation with r²SCAN was carried out for a geometry-optimized Sm11In9Ni4 structure.

Unit cell a=13.1946 b=13.1946 c=3.7054 alpha=90.00 beta=90.00 gamma=112.61
Sites, in units of the cell vectors:
1 In 0.0804 0.2202 0.5000
2 In 0.9196 0.7798 0.5000
3 In 0.2202 0.0804 0.5000
4 In 0.8385 0.3673 0.5000
5 In 0.6327 0.1615 0.5000
6 In 0.1615 0.6327 0.5000
7 In 0.3673 0.8385 0.5000
8 In 0.5000 0.5000 0.5000
9 In 0.7798 0.9196 0.5000
10 Ni 0.5511 0.7546 0.5000
11 Ni 0.7546 0.5511 0.5000
12 Ni 0.2454 0.4489 0.5000
13 Ni 0.4489 0.2454 0.5000
14 Sm 0.9208 0.5833 0.0000
15 Sm 0.8387 0.1613 0.0000
16 Sm 0.6868 0.6868 0.0000
17 Sm 0.6252 0.3748 0.0000
18 Sm 0.4167 0.0792 0.0000
19 Sm 0.0792 0.4167 0.0000
20 Sm 0.0000 0.0000 0.0000
21 Sm 0.1613 0.8387 0.0000
22 Sm 0.5833 0.9208 0.0000
23 Sm 0.3132 0.3132 0.0000
24 Sm 0.3748 0.6252 0.0000

Results
* volume: 595.53 Å³ per cell
* DFT total energy: -24.688 eV/atom
* SG: Cmmm, No. 65
* total magnetization: 0.01 μB/atom



No. 4
A plane-wave DFT calculation with r²SCAN was carried out for a geometry-optimized Er2Al structure.

Unit cell a=5.0292 b=6.4846 c=9.3162 alpha=90.00 beta=90.00 gamma=90.00
Sites, in units of the cell vectors:
1 Er 0.2500 0.3114 0.4279
2 Er 0.7500 0.6886 0.5720
3 Er 0.7500 0.1886 0.9280
4 Er 0.7500 0.5280 0.2101
5 Er 0.7500 0.0280 0.2898
6 Er 0.2500 0.9720 0.7101
7 Er 0.2500 0.8114 0.0721
8 Er 0.2500 0.4720 0.7899
9 Al 0.7500 0.2096 0.6041
10 Al 0.7500 0.7096 0.8959
11 Al 0.2500 0.7904 0.3959
12 Al 0.2500 0.2904 0.1041

Results
* volume: 303.82 Å³ per cell
* DFT total energy: -25.199 eV/atom
* SG: Pnma, No. 62
* total magnetization: 0.00 μB/atom



No. 5
A plane-wave DFT calculation with r²SCAN was carried out for a geometry-optimized TaMnRu2 structure.

Unit cell a=4.3719 b=4.3719 c=4.3719 alpha=60.00 beta=60.00 gamma=60.00
Sites, in units of the cell vectors:
1 Ru 0.5000 0.5000 0.5000
2 Ru 0.0000 0.0000 0.0000
3 Mn 0.2500 0.2500 0.2500
4 Ta 0.7500 0.7500 0.7500

Results
* volume: 59.09 Å³ per cell
* DFT total energy: -28.959 eV/atom
* SG: Fm-3m, No. 225
* total magnetization: 1.05 μB/atom



No. 6
A plane-wave DFT calculation with r²SCAN was carried out for a geometry-optimized TiAlAu structure.

Unit cell a=4.3999 b=4.3999 c=5.8434 alpha=90.00 beta=90.00 gamma=120.00
Sites, in units of the cell vectors:
1 Ti 0.0000 0.0000 0.0000
2 Ti 0.0000 0.0000 0.5000
3 Al 0.6667 0.3333 0.7500
4 Al 0.3333 0.6667 0.2500
5 Au 0.3333 0.6667 0.7500
6 Au 0.6667 0.3333 0.2500

Results
* volume: 97.97 Å³ per cell
* DFT total energy: -23.977 eV/atom
* SG: P6_3/mmc, No. 194
* total magnetization: 0.26 μB/atom



No. 7
A plane-wave DFT calculation with r²SCAN was carried out for a geometry-optimized MoO3 structure.

Unit cell a=3.6813 b=3.9187 c=14.2291 alpha=90.00 beta=90.00 gamma=90.00
Sites, in units of the cell vectors:
1 Mo 0.7500 0.5770 0.3979
2 Mo 0.2500 0.4230 0.6021
3 Mo 0.2500 0.0770 0.1021
4 Mo 0.7500 0.9230 0.8979
5 O 0.2500 0.9827 0.5871
6 O 0.7500 0.5337 0.2817
7 O 0.7500 0.9985 0.0644
8 O 0.7500 0.0173 0.4129
9 O 0.2500 0.4663 0.7183
10 O 0.2500 0.0337 0.2183
11 O 0.7500 0.9663 0.7817
12 O 0.7500 0.5015 0.5644
13 O 0.2500 0.5173 0.0871
14 O 0.7500 0.4827 0.9129
15 O 0.2500 0.0015 0.9356
16 O 0.2500 0.4985 0.4356

Results
* volume: 205.27 Å³ per cell
* DFT total energy: -13.073 eV/atom
* SG: Pnma, No. 62
* total magnetization: 0.00 μB/atom



No. 8
A plane-wave DFT calculation with r²SCAN was carried out for a geometry-optimized Rb2PtCl6 structure.

Unit cell a=7.0531 b=7.0531 c=7.0531 alpha=60.00 beta=60.00 gamma=60.00
Sites, in units of the cell vectors:
1 Cl 0.2341 0.2341 0.7659
2 Cl 0.2341 0.7659 0.2341
3 Cl 0.7659 0.7659 0.2341
4 Cl 0.7659 0.2341 0.7659
5 Cl 0.7659 0.2341 0.2341
6 Cl 0.2341 0.7659 0.7659
7 Pt 0.0000 0.0000 0.0000
8 Rb 0.7500 0.7500 0.7500
9 Rb 0.2500 0.2500 0.2500

Results
* volume: 248.10 Å³ per cell
* DFT total energy: -14.321 eV/atom
* SG: Fm-3m, No. 225
* total magnetization: 0.00 μB/atom



No. 9
A plane-wave DFT calculation with r²SCAN was carried out for a geometry-optimized CsCo2As2 structure.

Unit cell a=7.9677 b=7.9677 c=7.9677 alpha=152.53 beta=152.53 gamma=39.24
Sites, in units of the cell vectors:
1 Co 0.2500 0.7500 0.5000
2 Co 0.7500 0.2500 0.5000
3 As 0.3360 0.3360 0.0000
4 As 0.6640 0.6640 0.0000
5 Cs 0.0000 0.0000 0.0000

Results
* volume: 107.45 Å³ per cell
* DFT total energy: -16.579 eV/atom
* SG: I4/mmm, No. 139
* total magnetization: 0.00 μB/atom



No. 10
A plane-wave DFT calculation with r²SCAN was carried out for a geometry-optimized P structure.

Unit cell a=5.6711 b=11.1370 c=11.3205 alpha=93.47 beta=99.49 gamma=100.80
Sites, in units of the cell vectors:
1 P 0.6122 0.6785 0.0190
2 P 0.8381 0.9475 0.3123
3 P 0.7686 0.9895 0.6283
4 P 0.9955 0.8597 0.6902
5 P 0.0045 0.1403 0.3098
6 P 0.3028 0.6871 0.4673
7 P 0.2314 0.0105 0.3717
8 P 0.1995 0.5103 0.3589
9 P 0.5086 0.3058 0.1715
10 P 0.8005 0.4897 0.6411
11 P 0.5922 0.1805 0.0353
12 P 0.9284 0.9988 0.8185
13 P 0.6972 0.3129 0.5327
14 P 0.2250 0.6269 0.9401
15 P 0.9322 0.6270 0.3660
16 P 0.4914 0.6942 0.8285
17 P 0.3878 0.3215 0.9810
18 P 0.4078 0.8195 0.9647
19 P 0.0678 0.3730 0.6340
20 P 0.7750 0.3731 0.0599
21 P 0.7645 0.3195 0.7286
22 P 0.2355 0.6805 0.2714
23 P 0.0716 0.0012 0.1815
24 P 0.1619 0.0525 0.6877

Results
* volume: 689.63 Å³ per cell
* SG: P-1, No. 2
* total magnetization: 0.00 μB/atom
* E above lowest polymorph: 156 meV per atom



No. 11
A plane-wave DFT calculation with r²SCAN was carried out for a geometry-optimized Na3As7 structure.

Unit cell a=10.9629 b=14.2831 c=15.5505 alpha=64.03 beta=90.00 gamma=90.00
Sites, in units of the cell vectors:
1 As 0.2658 0.6139 0.2427
2 As 0.8435 0.7016 0.1136
3 As 0.3520 0.8656 0.4270
4 As 0.3550 0.5782 0.4024
5 As 0.8550 0.9218 0.5976
6 As 0.7733 0.4707 0.9811
7 As 0.8465 0.2920 0.0585
8 As 0.5748 0.7856 0.2072
9 As 0.2811 0.9595 0.5161
10 As 0.1480 0.3656 0.4270
11 As 0.2342 0.1139 0.2427
12 As 0.0629 0.9839 0.3119
13 As 0.2189 0.4595 0.5161
14 As 0.9278 0.7941 0.1940
15 As 0.9145 0.4877 0.7195
16 As 0.1450 0.0782 0.4024
17 As 0.2267 0.5293 0.0189
18 As 0.7539 0.3502 0.2588
19 As 0.0855 0.5123 0.2805
20 As 0.4145 0.0123 0.2805
21 As 0.7342 0.3861 0.7573
22 As 0.2539 0.1498 0.7412
23 As 0.1534 0.0247 0.8937
24 As 0.5722 0.2941 0.1940
25 As 0.1604 0.8196 0.3792
26 As 0.9252 0.2856 0.2072
27 As 0.8520 0.6344 0.5730
28 As 0.5855 0.9877 0.7195
29 As 0.2461 0.6498 0.7412
30 As 0.6604 0.6804 0.6208
31 As 0.6450 0.4218 0.5976
32 As 0.4371 0.4839 0.3119
33 As 0.9371 0.0161 0.6881
34 As 0.3465 0.2080 0.9415
35 As 0.1565 0.2984 0.8864
36 As 0.6535 0.7920 0.0585
37 As 0.7811 0.5405 0.4839
38 As 0.7267 0.9707 0.9811
39 As 0.5629 0.5161 0.6881
40 As 0.4278 0.7059 0.8060
41 As 0.3435 0.7984 0.8864
42 As 0.6565 0.2016 0.1136
43 As 0.3466 0.5247 0.8937
44 As 0.6480 0.1344 0.5730
45 As 0.7189 0.0405 0.4839
46 As 0.0722 0.2059 0.8060
47 As 0.7461 0.8502 0.2588
48 As 0.0748 0.7144 0.7928
49 As 0.1535 0.7080 0.9415
50 As 0.7658 0.8861 0.7573
51 As 0.6534 0.4753 0.1063
52 As 0.8466 0.9753 0.1063
53 As 0.3396 0.3196 0.3792
54 As 0.8396 0.1804 0.6208
55 As 0.2733 0.0293 0.0189
56 As 0.4252 0.2144 0.7928
57 Na 0.2942 0.4330 0.7131
58 Na 0.3032 0.8488 0.2099
59 Na 0.1968 0.3488 0.2099
60 Na 0.4637 0.1277 0.3975
61 Na 0.5363 0.8723 0.6025
62 Na 0.0423 0.4799 0.8973
63 Na 0.4420 0.6315 0.0692
64 Na 0.9637 0.3723 0.6025
65 Na 0.9577 0.5201 0.1027
66 Na 0.9420 0.8685 0.9308
67 Na 0.4577 0.9799 0.8973
68 Na 0.7058 0.5670 0.2869
69 Na 0.0580 0.1315 0.0692
70 Na 0.8032 0.6512 0.7901
71 Na 0.5580 0.3685 0.9308
72 Na 0.0654 0.8025 0.5631
73 Na 0.9346 0.1975 0.4369
74 Na 0.4346 0.3025 0.5631
75 Na 0.5654 0.6975 0.4369
76 Na 0.6968 0.1512 0.7901
77 Na 0.0363 0.6277 0.3975
78 Na 0.5423 0.0201 0.1027
79 Na 0.7942 0.0670 0.2869
80 Na 0.2058 0.9330 0.7131

Results
* volume: 2189.08 Å³ per cell
* DFT total energy: -11.722 eV/atom
* SG: P2_1/c, No. 14
* total magnetization: 0.00 μB/atom



No. 12
A plane-wave DFT calculation with r²SCAN was carried out for a geometry-optimized HfZnN2 structure.

Unit cell a=3.2393 b=3.2393 c=5.2793 alpha=90.00 beta=90.00 gamma=120.00
Sites, in units of the cell vectors:
1 Zn 0.0000 0.0000 0.3432
2 N 0.0000 0.0000 0.9771
3 N 0.3333 0.6667 0.5397
4 Hf 0.6667 0.3333 0.7927

Results
* volume: 47.98 Å³ per cell
* DFT total energy: -19.322 eV/atom
* SG: P3m1, No. 156
* total magnetization: 0.00 μB/atom



No. 13
A plane-wave DFT calculation with r²SCAN was carried out for a geometry-optimized YHoRh2 structure.

Unit cell a=4.8123 b=4.8123 c=4.8123 alpha=60.00 beta=60.00 gamma=60.00
Sites, in units of the cell vectors:
1 Y 0.0000 0.0000 0.0000
2 Rh 0.2500 0.2500 0.2500
3 Rh 0.7500 0.7500 0.7500
4 Ho 0.5000 0.5000 0.5000

Results
* volume: 78.80 Å³ per cell
* DFT total energy: -26.291 eV/atom
* SG: Fm-3m, No. 225
* total magnetization: 0.00 μB/atom



No. 14
A plane-wave DFT calculation with r²SCAN was carried out for a geometry-optimized Zr5NiSb3 structure.

Unit cell a=8.6083 b=8.6083 c=5.7952 alpha=90.00 beta=90.00 gamma=120.00
Sites, in units of the cell vectors:
1 Sb 0.3885 0.3885 0.7500
2 Sb 0.0000 0.3885 0.2500
3 Sb 0.3885 0.0000 0.2500
4 Sb 0.0000 0.6115 0.7500
5 Sb 0.6115 0.0000 0.7500
6 Sb 0.6115 0.6115 0.2500
7 Zr 0.7452 0.0000 0.2500
8 Zr 0.2548 0.2548 0.2500
9 Zr 0.0000 0.2548 0.7500
10 Zr 0.6667 0.3333 0.0000
11 Zr 0.6667 0.3333 0.5000
12 Zr 0.3333 0.6667 0.5000
13 Zr 0.2548 0.0000 0.7500
14 Zr 0.3333 0.6667 0.0000
15 Zr 0.0000 0.7452 0.2500
16 Zr 0.7452 0.7452 0.7500
17 Ni 0.0000 0.0000 0.5000
18 Ni 0.0000 0.0000 0.0000

Results
* volume: 371.91 Å³ per cell
* DFT total energy: -23.334 eV/atom
* SG: P6_3/mcm, No. 193
* total magnetization: 0.00 μB/atom



No. 15
A plane-wave DFT calculation with r²SCAN was carried out for a geometry-optimized Ce2Ga9Ru3 structure.

Unit cell a=7.5117 b=7.5117 c=9.6145 alpha=90.00 beta=90.00 gamma=119.37
Sites, in units of the cell vectors:
1 Ga 0.5478 0.3381 0.2500
2 Ga 0.6608 0.6608 0.0599
3 Ga 0.6635 0.9904 0.9240
4 Ga 0.6608 0.6608 0.4401
5 Ga 0.8687 0.8687 0.7500
6 Ga 0.0096 0.3365 0.0760
7 Ga 0.9904 0.6635 0.5760
8 Ga 0.3365 0.0096 0.4240
9 Ga 0.0096 0.3365 0.4240
10 Ga 0.1313 0.1313 0.2500
11 Ga 0.6635 0.9904 0.5760
12 Ga 0.3392 0.3392 0.5599
13 Ga 0.3381 0.5478 0.2500
14 Ga 0.3392 0.3392 0.9401
15 Ga 0.9904 0.6635 0.9240
16 Ga 0.4522 0.6619 0.7500
17 Ga 0.6619 0.4522 0.7500
18 Ga 0.3365 0.0096 0.0760
19 Ce 0.6710 0.9994 0.2500
20 Ce 0.0006 0.3290 0.7500
21 Ce 0.3290 0.0006 0.7500
22 Ce 0.9994 0.6710 0.2500
23 Ru 0.3261 0.6739 0.5000
24 Ru 0.0000 0.0000 0.0000
25 Ru 0.6739 0.3261 0.5000
26 Ru 0.0000 0.0000 0.5000
27 Ru 0.3261 0.6739 0.0000
28 Ru 0.6739 0.3261 0.0000

Results
* volume: 472.80 Å³ per cell
* DFT total energy: -17.780 eV/atom
* SG: Cmcm, No. 63
* total magnetization: 0.00 μB/atom



No. 16
A plane-wave DFT calculation with r²SCAN was carried out for a geometry-optimized AlGaCo2 structure.

Unit cell a=4.0025 b=4.0025 c=4.0025 alpha=60.00 beta=60.00 gamma=60.00
Sites, in units of the cell vectors:
1 Co 0.7500 0.7500 0.7500
2 Co 0.2500 0.2500 0.2500
3 Al 0.5000 0.5000 0.5000
4 Ga 0.0000 0.0000 0.0000

Results
* volume: 45.34 Å³ per cell
* DFT total energy: -11.535 eV/atom
* SG: Fm-3m, No. 225
* total magnetization: 0.00 μB/atom